i:
Entry from the Materials Project database: a relaxed structure of PrOs2 (r²SCAN).

a b c (Å): 5.349 5.349 9.210
angles (deg): 90.00 90.00 120.00
Fractional positions:
Pr1 0.333 0.667 0.065
Pr2 0.333 0.667 0.435
Pr3 0.667 0.333 0.565
Pr4 0.667 0.333 0.935
Os1 0.000 0.000 0.000
Os2 0.000 0.000 0.500
Os3 0.169 0.339 0.750
Os4 0.169 0.831 0.750
Os5 0.339 0.169 0.250
Os6 0.661 0.831 0.750
Os7 0.831 0.169 0.250
Os8 0.831 0.661 0.250

- space group = P6_3/mmc

***

ii:
Entry from the Materials Project database: a relaxed structure of PrOs2 (r²SCAN).

a b c (Å): 5.448 5.448 5.448
angles (deg): 60.00 60.00 60.00
Fractional positions:
Pr1 0.125 0.125 0.125
Pr2 0.875 0.875 0.875
Os1 0.000 0.500 0.500
Os2 0.500 0.000 0.500
Os3 0.500 0.500 0.000
Os4 0.500 0.500 0.500

- space group = Fd-3m

***

Which one sits at the top of the stability order? i does.

***

i:
Entry from the Materials Project database: a relaxed structure of P2S3 (r²SCAN).

a b c (Å): 10.625 25.638 4.616
angles (deg): 90.00 90.00 90.00
Fractional positions:
P1 0.147 0.024 0.000
P2 0.353 0.976 0.500
P3 0.647 0.976 0.500
P4 0.853 0.024 0.000
S1 0.000 0.988 0.246
S2 0.218 0.954 0.813
S3 0.282 0.046 0.313
S4 0.500 0.012 0.746
S5 0.718 0.046 0.313
S6 0.782 0.954 0.813

- space group = Pmn2_1

***

ii:
Entry from the Materials Project database: a relaxed structure of P2S3 (r²SCAN).

a b c (Å): 6.775 10.801 7.056
angles (deg): 90.00 90.89 90.00
Fractional positions:
P1 0.169 0.250 0.389
P2 0.254 0.614 0.731
P3 0.254 0.886 0.731
P4 0.292 0.750 0.490
P5 0.708 0.250 0.510
P6 0.746 0.114 0.269
P7 0.746 0.386 0.269
P8 0.831 0.750 0.611
S1 0.017 0.750 0.366
S2 0.056 0.093 0.247
S3 0.056 0.407 0.247
S4 0.351 0.750 0.929
S5 0.392 0.041 0.747
S6 0.392 0.459 0.747
S7 0.608 0.541 0.253
S8 0.608 0.959 0.253
S9 0.649 0.250 0.071
S10 0.944 0.593 0.753
S11 0.944 0.907 0.753
S12 0.983 0.250 0.634

- space group = P2_1/m

***

Which one sits at the top of the stability order? ii does.